PrMgHg2: relaxed, r2SCAN.

Geometry as extended XYZ:
```
4
Lattice="0.000 3.661 3.661 3.661 0.000 3.661 3.661 3.661 0.000" Properties=species:S:1:pos:R:3 pbc="T T T"
Pr 0.000 0.000 0.000
Mg 3.661 3.661 3.661
Hg 1.831 1.831 1.831
Hg 5.492 5.492 5.492
```

Properties
electronic total energy: -134.41 eV/cell
calculated density: 9.58 g/cm3